No. 1
## Ge2As2O7 (GGA-PBE)

Data for an optimized crystal structure of Ge2As2O7.

Formation enthalpy at 0 K in meV/atom: -1827
Relative energy among the computed polymorphs in meV/atom: 0
M_tot in μB per cell: 0.0
Mass density in Mg/m³: 4.0
Total energy after the MP2020 corrections in eV per atom: -6.664

Structure (CIF):
```
data_Ge2As2O7
_chemical_formula_sum 'Ge8 As8 O28'
_symmetry_space_group_name_H-M 'P -1'
_symmetry_Int_Tables_number 2
_cell_length_a 7.214
_cell_length_b 7.283
_cell_length_c 13.073
_cell_angle_alpha 90.70
_cell_angle_beta 96.10
_cell_angle_gamma 94.13
loop_
_symmetry_equiv_pos_as_xyz
'x,y,z'
'-x,-y,-z'
loop_
_atom_site_label
_atom_site_fract_x
_atom_site_fract_y
_atom_site_fract_z
Ge1 0.068 0.084 0.379
Ge2 0.263 0.654 0.906
Ge3 0.312 0.509 0.691
Ge4 0.338 0.871 0.119
As1 0.075 0.264 0.836
As2 0.160 0.687 0.473
As3 0.164 0.266 0.155
As4 0.398 0.075 0.662
O1 0.054 0.269 0.469
O2 0.086 0.804 0.867
O3 0.088 0.429 0.727
O4 0.144 0.040 0.671
O5 0.156 0.437 0.938
O6 0.178 0.714 0.175
O7 0.205 0.162 0.283
O8 0.221 0.927 0.444
O9 0.229 0.072 0.081
O10 0.305 0.685 0.598
O11 0.410 0.758 0.010
O12 0.418 0.622 0.808
O13 0.425 0.325 0.641
O14 0.447 0.090 0.802
```

No. 2
## MnSbSe2Br (GGA-PBE)

Data for an optimized crystal structure of MnSbSe2Br.

Formation enthalpy at 0 K in meV/atom: -441
Relative energy among the computed polymorphs in meV/atom: 119
M_tot in μB per cell: 40.0
Mass density in Mg/m³: 4.7
Total energy after the MP2020 corrections in eV per atom: -4.825

Structure (CIF):
```
data_MnSbSe2Br
_chemical_formula_sum 'Mn8 Sb8 Se16 Br8'
_symmetry_space_group_name_H-M 'P b a m'
_symmetry_Int_Tables_number 55
_cell_length_a 10.724
_cell_length_b 27.553
_cell_length_c 3.938
_cell_angle_alpha 90.00
_cell_angle_beta 90.00
_cell_angle_gamma 90.00
loop_
_symmetry_equiv_pos_as_xyz
'x,y,z'
'-x,-y,-z'
'-x,-y,z'
'x,y,-z'
'x+1/2,-y+1/2,-z'
'-x+1/2,y+1/2,z'
'-x+1/2,y+1/2,-z'
'x+1/2,-y+1/2,z'
loop_
_atom_site_label
_atom_site_fract_x
_atom_site_fract_y
_atom_site_fract_z
Mn1 0.000 0.000 0.000
Mn2 0.000 0.500 0.000
Mn3 0.070 0.244 0.000
Sb1 0.148 0.356 0.000
Sb2 0.176 0.603 0.500
Se1 0.053 0.434 0.500
Se2 0.081 0.681 0.000
Se3 0.219 0.290 0.500
Se4 0.234 0.535 0.000
Br1 0.056 0.182 0.500
Br2 0.084 0.920 0.000
```

No. 3
## ZrAlCr3 (GGA-PBE)

Data for an optimized crystal structure of ZrAlCr3.

Formation enthalpy at 0 K in meV/atom: 138
Relative energy among the computed polymorphs in meV/atom: 0
M_tot in μB per cell: 2.1
Mass density in Mg/m³: 6.0

Structure (CIF):
```
data_ZrAlCr3
_chemical_formula_sum 'Zr4 Al4 Cr12'
_symmetry_space_group_name_H-M 'C m c m'
_symmetry_Int_Tables_number 63
_symmetry_space_group_name_Hall '-C 2c 2'
_cell_length_a 5.347
_cell_length_b 11.579
_cell_length_c 4.918
_cell_angle_alpha 90.00
_cell_angle_beta 90.00
_cell_angle_gamma 90.00
loop_
_atom_site_label
_atom_site_fract_x
_atom_site_fract_y
_atom_site_fract_z
Zr1 0.000 0.100 0.250
Al1 0.000 0.500 0.000
Cr1 0.000 0.304 0.750
Cr2 0.214 0.326 0.250
```

No. 4
## DyMg2 (GGA-PBE)

Data for an optimized crystal structure of DyMg2.

Formation enthalpy at 0 K in meV/atom: -64
Mass density in Mg/m³: 4.5

Structure (CIF):
```
data_DyMg2
_chemical_formula_sum 'Dy1 Mg2'
_symmetry_space_group_name_H-M 'P 6/m m m'
_symmetry_Int_Tables_number 191
_symmetry_space_group_name_Hall '-P 6 2'
_cell_length_a 5.2236
_cell_length_b 5.2236
_cell_length_c 3.3086
_cell_angle_alpha 90.00
_cell_angle_beta 90.00
_cell_angle_gamma 120.00
loop_
_atom_site_label
_atom_site_fract_x
_atom_site_fract_y
_atom_site_fract_z
Dy1 0.0000 0.0000 0.0000
Mg1 0.3333 0.6667 0.5000
```

No. 5
## Mn3Pd5 (GGA-PBE)

Data for an optimized crystal structure of Mn3Pd5.

Formation enthalpy at 0 K in meV/atom: -252
Mass density in Mg/m³: 9.4

Structure (CIF):
```
data_Mn3Pd5
_chemical_formula_sum 'Mn6 Pd10'
_symmetry_space_group_name_H-M 'C m m m'
_symmetry_Int_Tables_number 65
_symmetry_space_group_name_Hall '-C 2 2'
_cell_length_a 7.275
_cell_length_b 8.240
_cell_length_c 4.089
_cell_angle_alpha 90.00
_cell_angle_beta 90.00
_cell_angle_gamma 90.00
loop_
_atom_site_label
_atom_site_fract_x
_atom_site_fract_y
_atom_site_fract_z
Mn1 0.000 0.000 0.000
Mn2 0.000 0.274 0.500
Pd1 0.000 0.500 0.000
Pd2 0.225 0.000 0.500
Pd3 0.250 0.250 0.000
```

No. 6
## K8AsO3 (GGA-PBE)

Data for an optimized crystal structure of K8AsO3.

Formation enthalpy at 0 K in meV/atom: -889
M_tot in μB per cell: 1.0
Mass density in Mg/m³: 2.2
Total energy after the MP2020 corrections in eV per atom: -3.254

Structure (CIF):
```
data_K8AsO3
_chemical_formula_sum 'K8 As1 O3'
_symmetry_space_group_name_H-M 'P m -3 m'
_symmetry_Int_Tables_number 221
_symmetry_space_group_name_Hall '-P 4 2 3'
_cell_length_a 6.903
_cell_length_b 6.903
_cell_length_c 6.903
_cell_angle_alpha 90.00
_cell_angle_beta 90.00
_cell_angle_gamma 90.00
loop_
_atom_site_label
_atom_site_fract_x
_atom_site_fract_y
_atom_site_fract_z
K1 0.235 0.235 0.235
As1 0.500 0.500 0.500
O1 0.000 0.000 0.500
```

No. 7
## BaSrErCu3O7 (GGA-PBE)

Data for an optimized crystal structure of BaSrErCu3O7.

Formation enthalpy at 0 K in meV/atom: -2212
M_tot in μB per cell: 0.0
Mass density in Mg/m³: 6.7
Total energy after the MP2020 corrections in eV per atom: -6.451

Structure (CIF):
```
data_BaSrErCu3O7
_chemical_formula_sum 'Ba1 Sr1 Er1 Cu3 O7'
_symmetry_space_group_name_H-M 'P m m 2'
_symmetry_Int_Tables_number 25
_cell_length_a 3.781
_cell_length_b 3.899
_cell_length_c 11.662
_cell_angle_alpha 90.00
_cell_angle_beta 90.00
_cell_angle_gamma 90.00
loop_
_symmetry_equiv_pos_as_xyz
'x,y,z'
'-x,-y,z'
'-x,y,z'
'x,-y,z'
loop_
_atom_site_label
_atom_site_fract_x
_atom_site_fract_y
_atom_site_fract_z
Ba1 0.000 0.000 0.000
Sr1 0.000 0.000 0.641
Er1 0.000 0.000 0.323
Cu1 0.500 0.500 0.176
Cu2 0.500 0.500 0.471
Cu3 0.500 0.500 0.817
O1 0.000 0.500 0.203
O2 0.000 0.500 0.442
O3 0.500 0.000 0.201
O4 0.500 0.000 0.446
O5 0.500 0.000 0.810
O6 0.500 0.500 0.655
O7 0.500 0.500 0.978
```

No. 8
## ZrCrCuS4 (GGA-PBE)

Data for an optimized crystal structure of ZrCrCuS4.

Formation enthalpy at 0 K in meV/atom: -1117
Relative energy among the computed polymorphs in meV/atom: 140
M_tot in μB per cell: 12.0
Mass density in Mg/m³: 4.3
Total energy after the MP2020 corrections in eV per atom: -6.666

Structure (CIF):
```
data_ZrCrCuS4
_chemical_formula_sum 'Zr4 Cr4 Cu4 S16'
_symmetry_space_group_name_H-M 'P n m a'
_symmetry_Int_Tables_number 62
_cell_length_a 11.537
_cell_length_b 3.558
_cell_length_c 12.654
_cell_angle_alpha 90.00
_cell_angle_beta 90.00
_cell_angle_gamma 90.00
loop_
_symmetry_equiv_pos_as_xyz
'x,y,z'
'-x,-y,-z'
'-x+1/2,-y,z+1/2'
'x+1/2,y,-z+1/2'
'x+1/2,-y+1/2,-z+1/2'
'-x+1/2,y+1/2,z+1/2'
'-x,y+1/2,-z'
'x,-y+1/2,z'
loop_
_atom_site_label
_atom_site_fract_x
_atom_site_fract_y
_atom_site_fract_z
Zr1 0.149 0.250 0.175
Cr1 0.110 0.250 0.565
Cu1 0.109 0.750 0.986
S1 0.006 0.250 0.869
S2 0.021 0.250 0.389
S3 0.215 0.250 0.736
S4 0.243 0.750 0.502
```

No. 9
## MnCd3 (GGA-PBE)

Data for an optimized crystal structure of MnCd3.

Formation enthalpy at 0 K in meV/atom: 172
M_tot in μB per cell: 3.6
Mass density in Mg/m³: 8.2

Structure (CIF):
```
data_MnCd3
_chemical_formula_sum 'Mn1 Cd3'
_symmetry_space_group_name_H-M 'P m -3 m'
_symmetry_Int_Tables_number 221
_symmetry_space_group_name_Hall '-P 4 2 3'
_cell_length_a 4.297
_cell_length_b 4.297
_cell_length_c 4.297
_cell_angle_alpha 90.00
_cell_angle_beta 90.00
_cell_angle_gamma 90.00
loop_
_atom_site_label
_atom_site_fract_x
_atom_site_fract_y
_atom_site_fract_z
Mn1 0.000 0.000 0.000
Cd1 0.000 0.500 0.500
```

No. 10
## InMo3Se3 (GGA-PBE)

Data for an optimized crystal structure of InMo3Se3.

Formation enthalpy at 0 K in meV/atom: -596
Relative energy among the computed polymorphs in meV/atom: 31
M_tot in μB per cell: 0.0
Mass density in Mg/m³: 5.7
Total energy after the MP2020 corrections in eV per atom: -7.136

Structure (CIF):
```
data_InMo3Se3
_chemical_formula_sum 'In2 Mo6 Se6'
_symmetry_space_group_name_H-M 'P 63/m'
_symmetry_Int_Tables_number 176
_symmetry_space_group_name_Hall '-P 6c'
_cell_length_a 9.7507
_cell_length_b 9.7507
_cell_length_c 4.5161
_cell_angle_alpha 90.00
_cell_angle_beta 90.00
_cell_angle_gamma 120.00
loop_
_atom_site_label
_atom_site_fract_x
_atom_site_fract_y
_atom_site_fract_z
In1 0.3333 0.6667 0.2500
Mo1 0.0189 0.8516 0.7500
Se1 0.0393 0.7082 0.2500
```

No. 11
## Ba2SnO16 (GGA-PBE)

Data for an optimized crystal structure of Ba2SnO16.

Formation enthalpy at 0 K in meV/atom: -669
M_tot in μB per cell: 4.0
Mass density in Mg/m³: 3.0

Structure (CIF):
```
data_Ba2SnO16
_chemical_formula_sum 'Ba2 Sn1 O16'
_symmetry_space_group_name_H-M 'P -1'
_symmetry_Int_Tables_number 2
_cell_length_a 6.844
_cell_length_b 7.840
_cell_length_c 8.225
_cell_angle_alpha 112.54
_cell_angle_beta 111.14
_cell_angle_gamma 96.72
loop_
_symmetry_equiv_pos_as_xyz
'x,y,z'
'-x,-y,-z'
loop_
_atom_site_label
_atom_site_fract_x
_atom_site_fract_y
_atom_site_fract_z
Ba1 0.131 0.037 0.304
Sn1 0.500 0.000 0.000
O1 0.148 0.234 0.684
O2 0.174 0.417 0.695
O3 0.229 0.016 0.013
O4 0.238 0.433 0.565
O5 0.299 0.896 0.677
O6 0.321 0.547 0.126
O7 0.371 0.716 0.156
O8 0.395 0.875 0.558
```

No. 12
## SmNi4Sn2 (GGA-PBE)

Data for an optimized crystal structure of SmNi4Sn2.

Formation enthalpy at 0 K in meV/atom: -412
M_tot in μB per cell: 0.0
Mass density in Mg/m³: 8.9

Structure (CIF):
```
data_SmNi4Sn2
_chemical_formula_sum 'Sm4 Ni16 Sn8'
_symmetry_space_group_name_H-M 'I -4 c 2'
_symmetry_Int_Tables_number 120
_symmetry_space_group_name_Hall 'I -4 -2c'
_cell_length_a 7.671
_cell_length_b 7.671
_cell_length_c 7.927
_cell_angle_alpha 90.00
_cell_angle_beta 90.00
_cell_angle_gamma 90.00
loop_
_atom_site_label
_atom_site_fract_x
_atom_site_fract_y
_atom_site_fract_z
Sm1 0.000 0.000 0.250
Ni1 0.140 0.359 0.166
Sn1 0.158 0.342 0.500
```